# 1
Here is In5AgSe8 after structural relaxation from the Materials Project database. Energies are from r²SCAN.

Summary:
**Uncorrected energy**: -18.41 eV/atom

```
data_In5AgSe8
_symmetry_space_group_name_H-M 'P 1'
_symmetry_Int_Tables_number 1
_cell_length_a 5.843
_cell_length_b 5.843
_cell_length_c 11.942
_cell_angle_alpha 90.00
_cell_angle_beta 90.00
_cell_angle_gamma 90.00
loop_
_symmetry_equiv_pos_as_xyz
'x,y,z'
loop_
_atom_site_label
_atom_site_fract_x
_atom_site_fract_y
_atom_site_fract_z
In1 0.000 0.000 0.000
In2 0.000 0.500 0.254
In3 0.000 0.500 0.746
In4 0.500 0.000 0.254
In5 0.500 0.000 0.746
Ag1 0.500 0.500 0.500
Se1 0.229 0.229 0.619
Se2 0.229 0.771 0.381
Se3 0.272 0.272 0.113
Se4 0.272 0.728 0.887
Se5 0.728 0.272 0.887
Se6 0.728 0.728 0.113
Se7 0.771 0.229 0.381
Se8 0.771 0.771 0.619
```

***

# 2
Here is Sr3Ru2O7 after structural relaxation from the Materials Project database. Energies are from r²SCAN.

Summary:
**Offset from the most stable computed form**: 5.2 meV per atom

```
data_Sr3Ru2O7
_symmetry_space_group_name_H-M 'P 1'
_symmetry_Int_Tables_number 1
_cell_length_a 10.525
_cell_length_b 10.525
_cell_length_c 10.525
_cell_angle_alpha 158.38
_cell_angle_beta 158.38
_cell_angle_gamma 30.77
loop_
_symmetry_equiv_pos_as_xyz
'x,y,z'
loop_
_atom_site_label
_atom_site_fract_x
_atom_site_fract_y
_atom_site_fract_z
Sr1 0.000 0.000 0.000
Sr2 0.184 0.184 0.000
Sr3 0.816 0.816 0.000
Ru1 0.402 0.402 0.000
Ru2 0.598 0.598 0.000
O1 0.097 0.597 0.500
O2 0.304 0.304 0.000
O3 0.403 0.903 0.500
O4 0.500 0.500 0.000
O5 0.597 0.097 0.500
O6 0.696 0.696 0.000
O7 0.903 0.403 0.500
```

***

# 3
Here is Li3NdAs2 after structural relaxation from the Materials Project database. Energies are from r²SCAN.

Summary:
**Uncorrected energy**: -12.17 eV/atom

```
data_Li3NdAs2
_symmetry_space_group_name_H-M 'P 1'
_symmetry_Int_Tables_number 1
_cell_length_a 4.294
_cell_length_b 4.294
_cell_length_c 6.940
_cell_angle_alpha 90.00
_cell_angle_beta 90.00
_cell_angle_gamma 120.00
loop_
_symmetry_equiv_pos_as_xyz
'x,y,z'
loop_
_atom_site_label
_atom_site_fract_x
_atom_site_fract_y
_atom_site_fract_z
Li1 0.000 0.000 0.000
Li2 0.333 0.667 0.145
Li3 0.667 0.333 0.855
Nd1 0.000 0.000 0.500
As1 0.333 0.667 0.758
As2 0.667 0.333 0.242
```

***

# 4
Here is Sc2C after structural relaxation from the Materials Project database. Energies are from r²SCAN.

Summary:
**Uncorrected energy**: -11.43 eV/atom

```
data_Sc2C
_symmetry_space_group_name_H-M 'P 1'
_symmetry_Int_Tables_number 1
_cell_length_a 3.333
_cell_length_b 3.333
_cell_length_c 5.650
_cell_angle_alpha 90.00
_cell_angle_beta 90.00
_cell_angle_gamma 120.00
loop_
_symmetry_equiv_pos_as_xyz
'x,y,z'
loop_
_atom_site_label
_atom_site_fract_x
_atom_site_fract_y
_atom_site_fract_z
Sc1 0.333 0.667 0.282
Sc2 0.667 0.333 0.718
C1 0.000 0.000 0.500
```

***

# 5
Here is YbTiO3 after structural relaxation from the Materials Project database. Energies are from r²SCAN.

Summary:
**Uncorrected energy**: -16.62 eV/atom

```
data_YbTiO3
_symmetry_space_group_name_H-M 'P 1'
_symmetry_Int_Tables_number 1
_cell_length_a 3.839
_cell_length_b 3.839
_cell_length_c 3.839
_cell_angle_alpha 90.00
_cell_angle_beta 90.00
_cell_angle_gamma 90.00
loop_
_symmetry_equiv_pos_as_xyz
'x,y,z'
loop_
_atom_site_label
_atom_site_fract_x
_atom_site_fract_y
_atom_site_fract_z
Yb1 0.000 0.000 0.000
Ti1 0.500 0.500 0.500
O1 0.000 0.500 0.500
O2 0.500 0.000 0.500
O3 0.500 0.500 0.000
```

***

# 6
Here is Yb2InCu2 after structural relaxation from the Materials Project database. Energies are from r²SCAN.

Summary:
**Uncorrected energy**: -23.94 eV/atom

```
data_Yb2InCu2
_symmetry_space_group_name_H-M 'P 1'
_symmetry_Int_Tables_number 1
_cell_length_a 7.331
_cell_length_b 7.331
_cell_length_c 3.692
_cell_angle_alpha 90.00
_cell_angle_beta 90.00
_cell_angle_gamma 90.00
loop_
_symmetry_equiv_pos_as_xyz
'x,y,z'
loop_
_atom_site_label
_atom_site_fract_x
_atom_site_fract_y
_atom_site_fract_z
Yb1 0.170 0.330 0.000
Yb2 0.330 0.830 0.000
Yb3 0.670 0.170 0.000
Yb4 0.830 0.670 0.000
In1 0.000 0.000 0.500
In2 0.500 0.500 0.500
Cu1 0.122 0.622 0.500
Cu2 0.378 0.122 0.500
Cu3 0.622 0.878 0.500
Cu4 0.878 0.378 0.500
```

***

# 7
Here is GdTl3 after structural relaxation from the Materials Project database. Energies are from r²SCAN.

Summary:
**Uncorrected energy**: -51.03 eV/atom

```
data_GdTl3
_symmetry_space_group_name_H-M 'P 1'
_symmetry_Int_Tables_number 1
_cell_length_a 4.748
_cell_length_b 4.748
_cell_length_c 4.748
_cell_angle_alpha 90.00
_cell_angle_beta 90.00
_cell_angle_gamma 90.00
loop_
_symmetry_equiv_pos_as_xyz
'x,y,z'
loop_
_atom_site_label
_atom_site_fract_x
_atom_site_fract_y
_atom_site_fract_z
Gd1 0.000 0.000 0.000
Tl1 0.000 0.500 0.500
Tl2 0.500 0.000 0.500
Tl3 0.500 0.500 0.000
```

***

# 8
Here is Tl8Ge5O14 after structural relaxation from the Materials Project database. Energies are from r²SCAN.

Summary:
**Uncorrected energy**: -22.84 eV/atom

```
data_Tl8Ge5O14
_symmetry_space_group_name_H-M 'P 1'
_symmetry_Int_Tables_number 1
_cell_length_a 14.561
_cell_length_b 14.561
_cell_length_c 14.561
_cell_angle_alpha 38.39
_cell_angle_beta 38.39
_cell_angle_gamma 38.39
loop_
_symmetry_equiv_pos_as_xyz
'x,y,z'
loop_
_atom_site_label
_atom_site_fract_x
_atom_site_fract_y
_atom_site_fract_z
Tl1 0.053 0.053 0.053
Tl2 0.123 0.821 0.658
Tl3 0.158 0.321 0.623
Tl4 0.179 0.342 0.877
Tl5 0.321 0.623 0.158
Tl6 0.342 0.877 0.179
Tl7 0.377 0.842 0.679
Tl8 0.447 0.447 0.447
Tl9 0.553 0.553 0.553
Tl10 0.623 0.158 0.321
Tl11 0.658 0.123 0.821
Tl12 0.679 0.377 0.842
Tl13 0.821 0.658 0.123
Tl14 0.842 0.679 0.377
Tl15 0.877 0.179 0.342
Tl16 0.947 0.947 0.947
Ge1 0.022 0.750 0.478
Ge2 0.203 0.203 0.203
Ge3 0.250 0.522 0.978
Ge4 0.297 0.297 0.297
Ge5 0.478 0.022 0.750
Ge6 0.522 0.978 0.250
Ge7 0.703 0.703 0.703
Ge8 0.750 0.478 0.022
Ge9 0.797 0.797 0.797
Ge10 0.978 0.250 0.522
O1 0.019 0.289 0.344
O2 0.055 0.926 0.309
O3 0.074 0.691 0.945
O4 0.156 0.211 0.481
O5 0.160 0.160 0.160
O6 0.191 0.574 0.445
O7 0.211 0.481 0.156
O8 0.289 0.344 0.019
O9 0.309 0.055 0.926
O10 0.340 0.340 0.340
O11 0.344 0.019 0.289
O12 0.426 0.555 0.809
O13 0.445 0.191 0.574
O14 0.481 0.156 0.211
O15 0.519 0.844 0.789
O16 0.555 0.809 0.426
O17 0.574 0.445 0.191
O18 0.656 0.981 0.711
O19 0.660 0.660 0.660
O20 0.691 0.945 0.074
O21 0.711 0.656 0.981
O22 0.789 0.519 0.844
O23 0.809 0.426 0.555
O24 0.840 0.840 0.840
O25 0.844 0.789 0.519
O26 0.926 0.309 0.055
O27 0.945 0.074 0.691
O28 0.981 0.711 0.656
```

***

# 9
Here is ErFe2B2 after structural relaxation from the Materials Project database. Energies are from r²SCAN.

Summary:
**Uncorrected energy**: -15.87 eV/atom

```
data_ErFe2B2
_symmetry_space_group_name_H-M 'P 1'
_symmetry_Int_Tables_number 1
_cell_length_a 5.331
_cell_length_b 5.331
_cell_length_c 5.331
_cell_angle_alpha 142.15
_cell_angle_beta 142.15
_cell_angle_gamma 54.61
loop_
_symmetry_equiv_pos_as_xyz
'x,y,z'
loop_
_atom_site_label
_atom_site_fract_x
_atom_site_fract_y
_atom_site_fract_z
Er1 0.000 0.000 0.000
Fe1 0.250 0.750 0.500
Fe2 0.750 0.250 0.500
B1 0.387 0.387 0.000
B2 0.613 0.613 0.000
```

***

# 10
Here is IrSe2 after structural relaxation from the Materials Project database. Energies are from r²SCAN.

Summary:
**Uncorrected energy**: -27.42 eV/atom

```
data_IrSe2
_symmetry_space_group_name_H-M 'P 1'
_symmetry_Int_Tables_number 1
_cell_length_a 21.158
_cell_length_b 3.766
_cell_length_c 5.986
_cell_angle_alpha 90.00
_cell_angle_beta 90.00
_cell_angle_gamma 90.00
loop_
_symmetry_equiv_pos_as_xyz
'x,y,z'
loop_
_atom_site_label
_atom_site_fract_x
_atom_site_fract_y
_atom_site_fract_z
Ir1 0.076 0.250 0.070
Ir2 0.195 0.750 0.558
Ir3 0.305 0.250 0.058
Ir4 0.424 0.750 0.570
Ir5 0.576 0.250 0.430
Ir6 0.695 0.750 0.942
Ir7 0.805 0.250 0.442
Ir8 0.924 0.750 0.930
Se1 0.009 0.750 0.224
Se2 0.122 0.250 0.451
Se3 0.139 0.750 0.928
Se4 0.238 0.750 0.183
Se5 0.262 0.250 0.683
Se6 0.361 0.250 0.428
Se7 0.378 0.750 0.951
Se8 0.491 0.250 0.724
Se9 0.509 0.750 0.276
Se10 0.622 0.250 0.049
Se11 0.639 0.750 0.572
Se12 0.738 0.750 0.317
Se13 0.762 0.250 0.817
Se14 0.861 0.250 0.072
Se15 0.878 0.750 0.549
Se16 0.991 0.250 0.776
```

***

# 11
Here is DyYIr2 after structural relaxation from the Materials Project database. Energies are from r²SCAN.

Summary:
**Uncorrected energy**: -40.17 eV/atom

```
data_DyYIr2
_symmetry_space_group_name_H-M 'P 1'
_symmetry_Int_Tables_number 1
_cell_length_a 4.809
_cell_length_b 4.809
_cell_length_c 4.809
_cell_angle_alpha 119.29
_cell_angle_beta 119.29
_cell_angle_gamma 91.23
loop_
_symmetry_equiv_pos_as_xyz
'x,y,z'
loop_
_atom_site_label
_atom_site_fract_x
_atom_site_fract_y
_atom_site_fract_z
Dy1 0.000 0.000 0.000
Y1 0.500 0.500 0.000
Ir1 0.250 0.750 0.500
Ir2 0.750 0.250 0.500
```

***

# 12
Here is HoScRu2 after structural relaxation from the Materials Project database. Energies are from r²SCAN.

Summary:
**Uncorrected energy**: -24.25 eV/atom

```
data_HoScRu2
_symmetry_space_group_name_H-M 'P 1'
_symmetry_Int_Tables_number 1
_cell_length_a 4.639
_cell_length_b 4.639
_cell_length_c 4.639
_cell_angle_alpha 60.00
_cell_angle_beta 60.00
_cell_angle_gamma 60.00
loop_
_symmetry_equiv_pos_as_xyz
'x,y,z'
loop_
_atom_site_label
_atom_site_fract_x
_atom_site_fract_y
_atom_site_fract_z
Ho1 0.000 0.000 0.000
Sc1 0.500 0.500 0.500
Ru1 0.250 0.250 0.250
Ru2 0.750 0.750 0.750
```

***

Across the entries above, size of the total moment takes the values 0.00, 0.34, 0.00, 0.12, 0.00, 0.05, 1.80, 0.00, 0.65, 0.00, 0.05, 0.00 μB per atom, respectively.